A plane-wave DFT calculation with PBE was carried out for an optimized crystal structure of Rb2YTiP3O12.

Its formation enthalpy at 0 K is -3089 meV/atom. The value obtained for the volume is 2224.4 Å³/cell.

Cell: 10.381 10.360 20.683 Å, 90.00 90.09 90.00°
Fractional coordinates of all 152 atoms:
Rb  0.040  0.000  0.147
Rb  0.042  0.997  0.647
Rb  0.179  0.276  0.464
Rb  0.182  0.276  0.966
Rb  0.322  0.634  0.716
Rb  0.324  0.639  0.214
Rb  0.454  0.915  0.897
Rb  0.458  0.912  0.397
Rb  0.542  0.412  0.603
Rb  0.546  0.415  0.103
Rb  0.676  0.139  0.786
Rb  0.678  0.134  0.284
Rb  0.818  0.776  0.034
Rb  0.821  0.776  0.536
Rb  0.958  0.497  0.353
Rb  0.960  0.500  0.853
Y  0.167  0.621  0.542
Y  0.332  0.291  0.290
Y  0.333  0.290  0.795
Y  0.390  0.057  0.077
Y  0.610  0.557  0.923
Y  0.667  0.790  0.205
Y  0.668  0.791  0.710
Y  0.833  0.121  0.458
Ti  0.101  0.851  0.820
Ti  0.107  0.848  0.325
Ti  0.164  0.623  0.042
Ti  0.395  0.061  0.572
Ti  0.605  0.561  0.428
Ti  0.836  0.123  0.958
Ti  0.893  0.348  0.675
Ti  0.899  0.351  0.180
P  0.007  0.161  0.813
P  0.013  0.158  0.308
P  0.117  0.932  0.976
P  0.134  0.944  0.478
P  0.201  0.344  0.130
P  0.205  0.319  0.632
P  0.280  0.595  0.886
P  0.296  0.588  0.381
P  0.364  0.961  0.235
P  0.364  0.967  0.727
P  0.472  0.737  0.060
P  0.490  0.751  0.558
P  0.510  0.251  0.442
P  0.528  0.237  0.940
P  0.636  0.461  0.765
P  0.636  0.467  0.273
P  0.704  0.088  0.619
P  0.720  0.095  0.114
P  0.795  0.819  0.368
P  0.799  0.844  0.870
P  0.866  0.444  0.522
P  0.883  0.432  0.024
P  0.987  0.658  0.692
P  0.993  0.661  0.187
O  0.009  0.512  0.015
O  0.014  0.015  0.793
O  0.017  0.010  0.293
O  0.022  0.037  0.491
O  0.042  0.733  0.752
O  0.056  0.304  0.134
O  0.057  0.287  0.635
O  0.057  0.738  0.244
O  0.080  0.677  0.126
O  0.080  0.685  0.636
O  0.095  0.793  0.004
O  0.102  0.810  0.504
O  0.141  0.213  0.829
O  0.147  0.211  0.324
O  0.158  0.931  0.903
O  0.163  0.939  0.404
O  0.194  0.699  0.853
O  0.218  0.706  0.354
O  0.220  0.465  0.086
O  0.224  0.001  0.013
O  0.230  0.432  0.585
O  0.235  0.578  0.958
O  0.244  0.909  0.763
O  0.245  0.555  0.448
O  0.254  0.909  0.280
O  0.255  0.374  0.197
O  0.256  0.000  0.513
O  0.256  0.352  0.699
O  0.257  0.466  0.850
O  0.270  0.476  0.334
O  0.273  0.232  0.098
O  0.277  0.199  0.603
O  0.315  0.953  0.164
O  0.326  0.698  0.067
O  0.336  0.971  0.652
O  0.356  0.698  0.575
O  0.392  0.102  0.753
O  0.395  0.101  0.253
O  0.418  0.227  0.385
O  0.421  0.635  0.881
O  0.443  0.620  0.383
O  0.455  0.179  0.502
O  0.460  0.215  0.874
O  0.462  0.151  0.990
O  0.478  0.876  0.740
O  0.481  0.879  0.039
O  0.483  0.876  0.246
O  0.484  0.900  0.543
O  0.516  0.400  0.457
O  0.517  0.376  0.754
O  0.519  0.379  0.961
O  0.522  0.376  0.260
O  0.538  0.651  0.010
O  0.540  0.715  0.126
O  0.545  0.679  0.498
O  0.557  0.120  0.617
O  0.579  0.135  0.119
O  0.582  0.727  0.615
O  0.605  0.601  0.747
O  0.608  0.602  0.247
O  0.644  0.198  0.425
O  0.664  0.471  0.348
O  0.674  0.198  0.933
O  0.685  0.453  0.836
O  0.723  0.699  0.397
O  0.727  0.732  0.902
O  0.730  0.976  0.666
O  0.743  0.966  0.150
O  0.744  0.500  0.487
O  0.744  0.852  0.301
O  0.745  0.874  0.803
O  0.746  0.409  0.720
O  0.755  0.055  0.552
O  0.756  0.409  0.237
O  0.765  0.078  0.042
O  0.770  0.932  0.415
O  0.776  0.501  0.987
O  0.780  0.965  0.914
O  0.782  0.206  0.646
O  0.806  0.199  0.147
O  0.837  0.439  0.596
O  0.842  0.431  0.097
O  0.853  0.711  0.676
O  0.859  0.713  0.171
O  0.898  0.310  0.496
O  0.905  0.293  0.996
O  0.920  0.177  0.874
O  0.920  0.185  0.364
O  0.943  0.238  0.756
O  0.943  0.787  0.365
O  0.944  0.804  0.866
O  0.958  0.233  0.248
O  0.978  0.537  0.509
O  0.983  0.510  0.707
O  0.986  0.515  0.207
O  0.991  0.012  0.985